# Li2CuSiO4 | Materials Project | PBE-GGA | relaxed
data_Li2CuSiO4
_chemical_formula_sum 'Li4 Cu2 Si2 O8'
_cell_length_a 6.273
_cell_length_b 5.326
_cell_length_c 4.973
_cell_angle_alpha 90.00
_cell_angle_beta 90.00
_cell_angle_gamma 90.00
_symmetry_space_group_name_H-M 'P m n 21'
_symmetry_Int_Tables_number 31
_symmetry_space_group_name_Hall 'P 2ac -2'
loop_
_atom_site_label
_atom_site_type_symbol
_atom_site_fract_x
_atom_site_fract_y
_atom_site_fract_z
Li1 Li 0.249 0.169 0.000
Cu1 Cu 0.000 0.681 0.991
Si1 Si 0.000 0.341 0.506
O1 O 0.000 0.335 0.838
O2 O 0.000 0.636 0.401
O3 O 0.216 0.192 0.399
# energy above the lowest structure with this stoichiometry	0.8	kJ/mol of atoms

=====

Density functional theory data (PBE-GGA) for BiH25C8S6O12 after structural relaxation.

```
data_BiH25C8S6O12
_chemical_formula_sum 'Bi2 H50 C16 S12 O24'
_cell_length_a 9.811
_cell_length_b 10.457
_cell_length_c 13.231
_cell_angle_alpha 110.08
_cell_angle_beta 94.07
_cell_angle_gamma 102.21
_symmetry_space_group_name_H-M 'P -1'
_symmetry_Int_Tables_number 2
_symmetry_space_group_name_Hall '-P 1'
loop_
_atom_site_label
_atom_site_type_symbol
_atom_site_fract_x
_atom_site_fract_y
_atom_site_fract_z
Bi1 Bi 0.118 0.117 0.404
H1 H 0.017 0.601 0.856
H2 H 0.038 0.461 0.607
H3 H 0.050 0.710 0.218
H4 H 0.060 0.405 0.910
H5 H 0.110 0.701 0.090
H6 H 0.124 0.317 0.157
H7 H 0.131 0.490 0.255
H8 H 0.168 0.197 0.721
H9 H 0.181 0.594 0.596
H10 H 0.186 0.550 0.717
H11 H 0.198 0.023 0.068
H12 H 0.270 0.316 0.852
H13 H 0.274 0.135 0.802
H14 H 0.349 0.523 0.345
H15 H 0.350 0.172 0.100
H16 H 0.365 0.994 0.033
H17 H 0.396 0.761 0.322
H18 H 0.404 0.498 0.062
H19 H 0.410 0.884 0.683
H20 H 0.417 0.953 0.829
H21 H 0.437 0.777 0.761
H22 H 0.440 0.107 0.626
H23 H 0.447 0.273 0.733
H24 H 0.472 0.468 0.417
H25 H 0.490 0.506 0.708
C1 C 0.019 0.695 0.133
C2 C 0.063 0.388 0.201
C3 C 0.118 0.559 0.652
C4 C 0.209 0.209 0.804
C5 C 0.313 0.062 0.092
C6 C 0.457 0.884 0.761
C7 C 0.462 0.530 0.366
C8 C 0.490 0.220 0.660
S1 S 0.032 0.693 0.716
S2 S 0.064 0.169 0.872
S3 S 0.157 0.853 0.476
S4 S 0.356 0.045 0.220
S5 S 0.386 0.646 0.982
S6 S 0.455 0.288 0.556
O1 O 0.004 0.842 0.433
O2 O 0.035 0.970 0.206
O3 O 0.085 0.320 0.375
O4 O 0.170 0.901 0.597
O5 O 0.195 0.719 0.427
O6 O 0.247 0.965 0.444
O7 O 0.257 0.660 0.929
O8 O 0.295 0.284 0.546
O9 O 0.307 0.163 0.306
O10 O 0.326 0.539 0.042
O11 O 0.471 0.572 0.904
O12 O 0.471 0.776 0.066
```

=====

# LiAg2F4 | Materials Project | PBE-GGA | relaxed
data_LiAg2F4
_chemical_formula_sum 'Li4 Ag8 F16'
_cell_length_a 5.835
_cell_length_b 5.835
_cell_length_c 12.158
_cell_angle_alpha 90.00
_cell_angle_beta 90.00
_cell_angle_gamma 90.00
_symmetry_space_group_name_H-M 'I 41/a'
_symmetry_Int_Tables_number 88
loop_
_symmetry_equiv_pos_as_xyz
'x,y,z'
'-x,-y,-z'
'-y+3/4,x+1/4,z+1/4'
'y+3/4,-x+1/4,-z+1/4'
'-x+1/2,-y,z+1/2'
'x+1/2,y,-z+1/2'
'y+3/4,-x+3/4,z+3/4'
'-y+3/4,x+3/4,-z+3/4'
'x+1/2,y+1/2,z+1/2'
'-x+1/2,-y+1/2,-z+1/2'
'-y+1/4,x+3/4,z+3/4'
'y+1/4,-x+3/4,-z+3/4'
'-x,-y+1/2,z'
'x,y+1/2,-z'
'y+1/4,-x+1/4,z+1/4'
'-y+1/4,x+1/4,-z+1/4'
loop_
_atom_site_label
_atom_site_type_symbol
_atom_site_fract_x
_atom_site_fract_y
_atom_site_fract_z
Li1 Li 0.000 0.250 0.125
Ag1 Ag 0.000 0.000 0.500
F1 F 0.190 0.466 0.898
# energy above the lowest structure with this stoichiometry	5.3	kJ/mol of atoms

=====

# Na2ZnP4H16O20 | Materials Project | PBE-GGA | relaxed
data_Na2ZnP4H16O20
_chemical_formula_sum 'Na4 Zn2 P8 H32 O40'
_cell_length_a 7.396
_cell_length_b 10.980
_cell_length_c 11.896
_cell_angle_alpha 90.00
_cell_angle_beta 115.39
_cell_angle_gamma 90.00
_symmetry_space_group_name_H-M 'P 1 21/c 1'
_symmetry_Int_Tables_number 14
_symmetry_space_group_name_Hall '-P 2ybc'
loop_
_atom_site_label
_atom_site_type_symbol
_atom_site_fract_x
_atom_site_fract_y
_atom_site_fract_z
Na1 Na 0.221 0.172 0.454
Zn1 Zn 0.500 0.000 0.000
P1 P 0.047 0.041 0.776
P2 P 0.334 0.741 0.085
H1 H 0.102 0.587 0.426
H2 H 0.111 0.611 0.957
H3 H 0.128 0.700 0.713
H4 H 0.264 0.094 0.111
H5 H 0.351 0.044 0.709
H6 H 0.442 0.655 0.771
H7 H 0.466 0.512 0.132
H8 H 0.469 0.164 0.159
O1 O 0.015 0.179 0.808
O2 O 0.020 0.044 0.140
O3 O 0.085 0.516 0.860
O4 O 0.123 0.675 0.024
O5 O 0.273 0.028 0.819
O6 O 0.318 0.636 0.519
O7 O 0.351 0.731 0.723
O8 O 0.361 0.130 0.084
O9 O 0.419 0.067 0.654
O10 O 0.498 0.158 0.407
# energy above the lowest structure with this stoichiometry	0.5	kJ/mol of atoms

=====

# K3InI6O18 | Materials Project | PBE-GGA | relaxed
data_K3InI6O18
_chemical_formula_sum 'K24 In8 I48 O144'
_cell_length_a 8.443
_cell_length_b 40.338
_cell_length_c 11.420
_cell_angle_alpha 90.00
_cell_angle_beta 90.00
_cell_angle_gamma 90.00
_symmetry_space_group_name_H-M 'F d d 2'
_symmetry_Int_Tables_number 43
_symmetry_space_group_name_Hall 'F 2 -2d'
loop_
_atom_site_label
_atom_site_type_symbol
_atom_site_fract_x
_atom_site_fract_y
_atom_site_fract_z
K1 K 0.000 0.000 0.000
K2 K 0.056 0.402 0.503
In1 In 0.000 0.000 0.500
I1 I 0.048 0.299 0.507
I2 I 0.049 0.298 0.991
I3 I 0.093 0.407 0.996
O1 O 0.007 0.150 0.859
O2 O 0.015 0.046 0.176
O3 O 0.015 0.046 0.824
O4 O 0.031 0.152 0.616
O5 O 0.073 0.264 0.615
O6 O 0.074 0.262 0.885
O7 O 0.085 0.334 0.605
O8 O 0.088 0.332 0.889
O9 O 0.121 0.453 0.999
# energy above the lowest structure with this stoichiometry	0.2	kJ/mol of atoms

=====

Density functional theory data (PBE-GGA) for YGa40Mo8 after structural relaxation.

```
data_YGa40Mo8
_chemical_formula_sum 'Y3 Ga120 Mo24'
_cell_length_a 14.1728
_cell_length_b 14.1728
_cell_length_c 15.3207
_cell_angle_alpha 90.00
_cell_angle_beta 90.00
_cell_angle_gamma 120.00
_symmetry_space_group_name_H-M 'R -3'
_symmetry_Int_Tables_number 148
_symmetry_space_group_name_Hall '-R 3'
loop_
_atom_site_label
_atom_site_type_symbol
_atom_site_fract_x
_atom_site_fract_y
_atom_site_fract_z
Y1 Y 0.0000 0.0000 0.0000
Ga1 Ga 0.0000 0.0000 0.5000
Ga2 Ga 0.0000 0.5000 0.0000
Ga3 Ga 0.0022 0.8166 0.7834
Ga4 Ga 0.0124 0.1278 0.6632
Ga5 Ga 0.0124 0.3176 0.7667
Ga6 Ga 0.0145 0.8436 0.1210
Ga7 Ga 0.0252 0.4870 0.6607
Ga8 Ga 0.0960 0.5608 0.1725
Mo1 Mo 0.0000 0.0000 0.2058
Mo2 Mo 0.0133 0.3032 0.5973
```

=====

Density functional theory data (PBE-GGA) for ReH3 after structural relaxation.

```
data_ReH3
_chemical_formula_sum 'Re2 H6'
_cell_length_a 4.4022
_cell_length_b 4.4022
_cell_length_c 2.9008
_cell_angle_alpha 90.00
_cell_angle_beta 90.00
_cell_angle_gamma 120.00
_symmetry_space_group_name_H-M 'P 63/m m c'
_symmetry_Int_Tables_number 194
_symmetry_space_group_name_Hall '-P 6c 2c'
loop_
_atom_site_label
_atom_site_type_symbol
_atom_site_fract_x
_atom_site_fract_y
_atom_site_fract_z
Re1 Re 0.3333 0.6667 0.2500
H1 H 0.1659 0.3317 0.7500
```

=====

# ZnSnSb2 | Materials Project | PBE-GGA | relaxed
data_ZnSnSb2
_chemical_formula_sum 'Zn4 Sn4 Sb8'
_cell_length_a 6.392
_cell_length_b 6.392
_cell_length_c 12.830
_cell_angle_alpha 90.00
_cell_angle_beta 90.00
_cell_angle_gamma 90.00
_symmetry_space_group_name_H-M 'I -4 2 d'
_symmetry_Int_Tables_number 122
_symmetry_space_group_name_Hall 'I -4 2bw'
loop_
_atom_site_label
_atom_site_type_symbol
_atom_site_fract_x
_atom_site_fract_y
_atom_site_fract_z
Zn1 Zn 0.000 0.000 0.000
Sn1 Sn 0.000 0.000 0.500
Sb1 Sb 0.224 0.750 0.125
# maximum piezoelectric response	0.1	C/m2
# energy above the lowest structure with this stoichiometry	0.0	kJ/mol of atoms

=====

Values for energy of formation from the pure elements, eV/atom, ordered as above
-2.335; -0.691; -1.789; -1.861; -1.244; -0.155; 0.374; -0.159